Below is crystalline Mn3CrCo2P6O24 at its relaxed geometry, with properties calculated at the PBE with a Hubbard U level.

Cell lengths 8.488, 8.488, 8.488 Å; angles 60.70, 60.70, 60.70 degrees
Atoms (fractional coordinates):
O: 0.238 0.586 0.445
O: 0.808 0.618 0.010
O: 0.512 0.118 0.308
O: 0.495 0.880 0.687
O: 0.417 0.556 0.760
O: 0.911 0.261 0.055
O: 0.385 0.991 0.190
O: 0.940 0.090 0.743
O: 0.586 0.445 0.238
O: 0.556 0.760 0.417
O: 0.760 0.417 0.556
O: 0.118 0.308 0.512
O: 0.445 0.238 0.586
O: 0.090 0.743 0.940
O: 0.743 0.940 0.090
O: 0.618 0.010 0.808
O: 0.190 0.385 0.991
O: 0.308 0.512 0.118
O: 0.687 0.495 0.880
O: 0.261 0.055 0.911
O: 0.010 0.808 0.618
O: 0.991 0.190 0.385
O: 0.880 0.687 0.495
O: 0.055 0.911 0.261
Cr: 0.141 0.141 0.141
Co: 0.000 0.000 0.000
Co: 0.499 0.499 0.499
P: 0.542 0.959 0.250
P: 0.459 0.040 0.750
P: 0.750 0.459 0.040
P: 0.959 0.250 0.542
P: 0.040 0.750 0.459
P: 0.250 0.542 0.959
Mn: 0.357 0.357 0.357
Mn: 0.642 0.642 0.642
Mn: 0.858 0.858 0.858

Calculated values
VASP energy: -0.52728 Ry/atom
V: 439.2 Å³/cell
Total magnetic moment: 19.3 μB/f.u.
Mass density: 3.420 g cm⁻³

Below is crystalline Cr2CuO4 at its relaxed geometry, with properties calculated at the PBE with a Hubbard U level.

Cell lengths 5.973, 5.973, 5.973 Å; angles 89.82, 60.10, 119.90 degrees
Atoms (fractional coordinates):
Cr: 0.500 0.500 0.000
Cr: 0.000 0.500 0.500
Cr: 0.000 0.000 0.500
Cr: 0.500 0.500 0.500
O: 0.525 0.286 0.738
O: 0.025 0.262 0.714
O: 0.975 0.737 0.738
O: 0.025 0.263 0.262
O: 0.975 0.738 0.286
O: 0.525 0.738 0.737
O: 0.475 0.714 0.262
O: 0.475 0.262 0.263
Cu: 0.750 0.125 0.125
Cu: 0.250 0.875 0.875

Calculated values
VASP energy: -0.52512 Ry/atom
V: 150.9 Å³/cell
Mass density: 5.096 g cm⁻³

Below is crystalline Li4MnB2O6 at its relaxed geometry, with properties calculated at the PBE with a Hubbard U level.

Cell lengths 6.746, 9.334, 8.654 Å; angles 90.00, 112.94, 90.00 degrees
Atoms (fractional coordinates):
B: 0.635 0.203 0.770
B: 0.135 0.203 0.770
B: 0.365 0.703 0.730
B: 0.865 0.797 0.230
B: 0.865 0.703 0.730
B: 0.365 0.797 0.230
B: 0.135 0.297 0.270
B: 0.635 0.297 0.270
O: 0.062 0.385 0.124
O: 0.788 0.638 0.576
O: 0.438 0.885 0.376
O: 0.126 0.351 0.753
O: 0.212 0.138 0.924
O: 0.626 0.149 0.253
O: 0.938 0.615 0.876
O: 0.438 0.615 0.876
O: 0.874 0.649 0.247
O: 0.562 0.385 0.124
O: 0.288 0.638 0.576
O: 0.626 0.351 0.753
O: 0.288 0.862 0.076
O: 0.212 0.362 0.424
O: 0.062 0.115 0.624
O: 0.374 0.649 0.247
O: 0.874 0.851 0.747
O: 0.126 0.149 0.253
O: 0.562 0.115 0.624
O: 0.788 0.862 0.076
O: 0.374 0.851 0.747
O: 0.938 0.885 0.376
O: 0.712 0.138 0.924
O: 0.712 0.362 0.424
Li: 0.164 0.946 0.827
Li: 0.004 0.299 0.509
Li: 0.496 0.701 0.491
Li: 0.004 0.201 0.009
Li: 0.836 0.446 0.673
Li: 0.996 0.701 0.491
Li: 0.663 0.946 0.827
Li: 0.164 0.554 0.327
Li: 0.337 0.054 0.173
Li: 0.996 0.799 0.991
Li: 0.504 0.201 0.009
Li: 0.496 0.799 0.991
Li: 0.663 0.554 0.327
Li: 0.336 0.446 0.673
Li: 0.504 0.299 0.509
Li: 0.836 0.054 0.173
Mn: 0.250 0.000 0.500
Mn: 0.750 0.000 0.500
Mn: 0.250 0.500 0.000
Mn: 0.750 0.500 0.000

Calculated values
VASP energy: -0.49120 Ry/atom
V: 501.8 Å³/cell
Total magnetic moment: 0.0 μB/f.u.
Mass density: 2.651 g cm⁻³

Below is crystalline LiV6O7F5 at its relaxed geometry, with properties calculated at the PBE with a Hubbard U level.

Cell lengths 5.814, 6.091, 6.138 Å; angles 100.73, 100.40, 98.80 degrees
Atoms (fractional coordinates):
O: 0.420 0.594 0.830
O: 0.413 0.178 0.587
O: 0.579 0.829 0.412
O: 0.566 0.414 0.178
O: 0.188 0.575 0.421
O: 0.932 0.657 0.077
O: 0.822 0.427 0.588
V: 0.850 0.662 0.381
V: 0.595 0.158 0.341
V: 0.301 0.608 0.134
V: 0.152 0.348 0.604
V: 0.404 0.852 0.664
V: 0.686 0.409 0.870
F: 0.099 0.298 0.926
F: 0.934 0.108 0.319
F: 0.682 0.063 0.900
F: 0.323 0.949 0.094
F: 0.058 0.889 0.674
Li: 0.994 0.981 0.001

Calculated values
VASP energy: -0.52452 Ry/atom
V: 206.1 Å³/cell
Total magnetic moment: 12.0 μB/f.u.
Mass density: 4.186 g cm⁻³

Below is crystalline Zn3Co2Ge3O12 at its relaxed geometry, with properties calculated at the PBE with a Hubbard U level.

Cell lengths 10.318, 10.318, 10.318 Å; angles 109.47, 109.47, 109.47 degrees
Atoms (fractional coordinates):
O: 0.798 0.875 0.975
O: 0.100 0.625 0.423
O: 0.298 0.475 0.375
O: 0.875 0.975 0.798
O: 0.600 0.923 0.125
O: 0.025 0.202 0.125
O: 0.975 0.798 0.875
O: 0.375 0.577 0.900
O: 0.676 0.077 0.702
O: 0.923 0.125 0.600
O: 0.202 0.125 0.025
O: 0.077 0.875 0.400
O: 0.824 0.525 0.400
O: 0.400 0.824 0.525
O: 0.202 0.577 0.176
O: 0.298 0.324 0.923
O: 0.900 0.375 0.577
O: 0.875 0.400 0.077
O: 0.077 0.702 0.676
O: 0.025 0.324 0.900
O: 0.975 0.676 0.100
O: 0.625 0.702 0.525
O: 0.475 0.600 0.176
O: 0.125 0.600 0.923
O: 0.577 0.900 0.375
O: 0.923 0.298 0.324
O: 0.176 0.475 0.600
O: 0.324 0.900 0.025
O: 0.375 0.298 0.475
O: 0.423 0.100 0.625
O: 0.676 0.100 0.975
O: 0.176 0.202 0.577
O: 0.625 0.423 0.100
O: 0.100 0.975 0.676
O: 0.475 0.375 0.298
O: 0.125 0.025 0.202
O: 0.525 0.625 0.702
O: 0.600 0.176 0.475
O: 0.900 0.025 0.324
O: 0.798 0.423 0.824
O: 0.324 0.923 0.298
O: 0.423 0.824 0.798
O: 0.702 0.676 0.077
O: 0.577 0.176 0.202
O: 0.525 0.400 0.824
O: 0.824 0.798 0.423
O: 0.702 0.525 0.625
O: 0.400 0.077 0.875
Ge: 0.875 0.250 0.125
Ge: 0.750 0.375 0.625
Ge: 0.750 0.875 0.125
Ge: 0.625 0.750 0.375
Ge: 0.250 0.125 0.875
Ge: 0.375 0.250 0.625
Ge: 0.250 0.625 0.375
Ge: 0.125 0.750 0.875
Ge: 0.625 0.375 0.250
Ge: 0.875 0.125 0.750
Ge: 0.125 0.875 0.250
Ge: 0.375 0.625 0.750
Zn: 0.750 0.125 0.375
Zn: 0.875 0.625 0.250
Zn: 0.625 0.250 0.875
Zn: 0.375 0.750 0.125
Zn: 0.125 0.375 0.750
Zn: 0.250 0.875 0.625
Zn: 0.125 0.250 0.375
Zn: 0.750 0.625 0.875
Zn: 0.375 0.125 0.250
Zn: 0.875 0.750 0.625
Zn: 0.625 0.875 0.750
Zn: 0.250 0.375 0.125
Co: 0.000 0.000 0.500
Co: 0.000 0.500 0.000
Co: 0.000 0.000 0.000
Co: 0.000 0.500 0.500
Co: 0.500 0.500 0.000
Co: 0.500 0.500 0.500
Co: 0.500 0.000 0.500
Co: 0.500 0.000 0.000

Calculated values
VASP energy: -0.41925 Ry/atom
V: 845.6 Å³/cell
Total magnetic moment: 0.0 μB/f.u.
Mass density: 5.687 g cm⁻³

Below is crystalline Ca2Mn2Si4H6O17 at its relaxed geometry, with properties calculated at the PBE with a Hubbard U level.

Cell lengths 5.455, 5.455, 12.032 Å; angles 86.55, 86.55, 67.18 degrees
Atoms (fractional coordinates):
O: 0.986 0.990 0.721
O: 0.067 0.933 0.500
O: 0.105 0.642 0.126
O: 0.935 0.408 0.588
O: 0.363 0.349 0.943
O: 0.651 0.091 0.127
O: 0.426 0.022 0.614
O: 0.909 0.349 0.873
O: 0.592 0.065 0.412
O: 0.358 0.895 0.874
O: 0.136 0.127 0.079
O: 0.651 0.637 0.057
O: 0.873 0.864 0.921
O: 0.978 0.574 0.386
O: 0.010 0.014 0.279
O: 0.541 0.578 0.277
O: 0.422 0.459 0.723
H: 0.439 0.312 0.675
H: 0.522 0.050 0.493
H: 0.599 0.606 0.198
H: 0.394 0.401 0.802
H: 0.950 0.478 0.507
H: 0.688 0.561 0.325
Si: 0.915 0.886 0.396
Si: 0.969 0.959 0.149
Si: 0.114 0.085 0.604
Si: 0.041 0.031 0.851
Ca: 0.306 0.298 0.266
Ca: 0.702 0.694 0.734
Mn: 0.007 0.495 0.000
Mn: 0.505 0.993 0.000

Calculated values
VASP energy: -0.49364 Ry/atom
V: 329.2 Å³/cell
Total magnetic moment: 6.0 μB/f.u.
Mass density: 2.928 g cm⁻³